First-principles (GGA-PBE) data for a relaxed structure of Ba4Pr3BiO12, as listed in Materials Project.

ρ: 6.25 g/cm³
SG: No. 2
E: -134.121 eV for the cell shown
Spin magnetization: 0.0709 μB per atom
Volume: 18.25 A^3/atom
ΔH_f (0 K): -2.85 eV per atom

CIF file:
```
data_Ba4Pr3BiO12
_symmetry_space_group_name_H-M 'P 1'
_symmetry_Int_Tables_number 1
_symmetry_space_group_name_Hall 'P 1'
_cell_length_a 6.3411
_cell_length_b 6.3889
_cell_length_c 9.0090
_cell_angle_alpha 89.90
_cell_angle_beta 89.90
_cell_angle_gamma 89.99
loop_
_atom_site_label
_atom_site_type_symbol
_atom_site_fract_x
_atom_site_fract_y
_atom_site_fract_z
_atom_site_occupancy
O1 O 0.0805 0.4816 0.2339 1
O2 O 0.2591 0.7150 0.9565 1
O3 O 0.7875 0.7613 0.0402 1
O4 O 0.4194 0.9722 0.2477 1
O5 O 0.2125 0.2387 0.9598 1
O6 O 0.7004 0.3013 0.4532 1
O7 O 0.5806 0.0278 0.7523 1
O8 O 0.9195 0.5184 0.7661 1
O9 O 0.1986 0.2006 0.5444 1
O10 O 0.7409 0.2850 0.0435 1
O11 O 0.2996 0.6987 0.5468 1
O12 O 0.8014 0.7994 0.4556 1
Ba1 Ba 0.5094 0.5309 0.2426 1
Ba2 Ba 0.4906 0.4691 0.7574 1
Ba3 Ba 0.0055 0.9682 0.7578 1
Ba4 Ba 0.9945 0.0318 0.2422 1
Pr1 Pr 0.0000 0.5000 0.5000 1
Pr2 Pr 0.5000 0.0000 0.5000 1
Pr3 Pr 0.5000 0.0000 0.0000 1
Bi1 Bi 0.0000 0.5000 0.0000 1
```

---

First-principles (GGA-PBE) data for a relaxed structure of AcInAg2, as listed in Materials Project.

ρ: 8.98 g/cm³
SG: No. 225
E: -13.743 eV for the cell shown
Volume: 25.77 A^3/atom
ΔH_f (0 K): -0.30 eV per atom

CIF file:
```
data_AcInAg2
_symmetry_space_group_name_H-M 'P 1'
_symmetry_Int_Tables_number 1
_symmetry_space_group_name_Hall 'P 1'
_cell_length_a 5.2627
_cell_length_b 5.2627
_cell_length_c 5.2627
_cell_angle_alpha 60.00
_cell_angle_beta 60.00
_cell_angle_gamma 60.00
loop_
_atom_site_label
_atom_site_type_symbol
_atom_site_fract_x
_atom_site_fract_y
_atom_site_fract_z
_atom_site_occupancy
Ag1 Ag 0.7500 0.7500 0.7500 1
Ag2 Ag 0.2500 0.2500 0.2500 1
Ac1 Ac 0.5000 0.5000 0.5000 1
In1 In 0.0000 0.0000 0.0000 1
```

---

First-principles (GGA-PBE) data for a relaxed structure of Mg6TiAlO8, as listed in Materials Project.

ρ: 3.63 g/cm³
Excess energy over the best structure of this formula in the dataset: 0.00 eV/f.u.
SG: No. 123
E: -99.660 eV for the cell shown
Spin magnetization: 0.1582 μB per atom
Volume: 9.98 A^3/atom
ΔH_f (0 K): -2.77 eV per atom

CIF file:
```
data_Mg6TiAlO8
_symmetry_space_group_name_H-M 'P 1'
_symmetry_Int_Tables_number 1
_symmetry_space_group_name_Hall 'P 1'
_cell_length_a 8.5742
_cell_length_b 4.3152
_cell_length_c 4.3152
_cell_angle_alpha 90.00
_cell_angle_beta 90.00
_cell_angle_gamma 90.00
loop_
_atom_site_label
_atom_site_type_symbol
_atom_site_fract_x
_atom_site_fract_y
_atom_site_fract_z
_atom_site_occupancy
Mg1 Mg 0.5000 0.5000 0.5000 1
Mg2 Mg 0.2519 0.0000 0.5000 1
Mg3 Mg 0.2519 0.5000 0.0000 1
Mg4 Mg 0.7481 0.0000 0.5000 1
Mg5 Mg 0.7481 0.5000 0.0000 1
Mg6 Mg 0.0000 0.5000 0.5000 1
O1 O 0.7803 0.0000 0.0000 1
O2 O 0.7501 0.5000 0.5000 1
O3 O 0.0000 0.0000 0.5000 1
O4 O 0.5000 0.0000 0.5000 1
O5 O 0.0000 0.5000 0.0000 1
O6 O 0.2499 0.5000 0.5000 1
O7 O 0.2197 0.0000 0.0000 1
O8 O 0.5000 0.5000 0.0000 1
Al1 Al 0.0000 0.0000 0.0000 1
Ti1 Ti 0.5000 0.0000 0.0000 1
```

---

First-principles (GGA-PBE) data for a relaxed structure of K3Bi2P3O12, as listed in Materials Project.

ρ: 4.58 g/cm³
SG: No. 15
E: -257.242 eV for the cell shown
Spin magnetization: 0.0000 μB per atom
Volume: 14.87 A^3/atom
ΔH_f (0 K): -2.51 eV per atom

CIF file:
```
data_K3Bi2P3O12
_symmetry_space_group_name_H-M 'P 1'
_symmetry_Int_Tables_number 1
_symmetry_space_group_name_Hall 'P 1'
_cell_length_a 9.7300
_cell_length_b 9.7300
_cell_length_c 6.9321
_cell_angle_alpha 72.47
_cell_angle_beta 72.47
_cell_angle_gamma 88.81
loop_
_atom_site_label
_atom_site_type_symbol
_atom_site_fract_x
_atom_site_fract_y
_atom_site_fract_z
_atom_site_occupancy
O1 O 0.5848 0.7218 0.6330 1
O2 O 0.0886 0.4437 0.6710 1
O3 O 0.2782 0.4152 0.8670 1
O4 O 0.1932 0.1565 0.3398 1
O5 O 0.4437 0.0886 0.1710 1
O6 O 0.8902 0.2403 0.5589 1
O7 O 0.5563 0.9114 0.8290 1
O8 O 0.3825 0.7590 0.3184 1
O9 O 0.7590 0.3825 0.8184 1
O10 O 0.8068 0.8435 0.6602 1
O11 O 0.8435 0.8068 0.1602 1
O12 O 0.1098 0.7597 0.4411 1
O13 O 0.2403 0.8902 0.0589 1
O14 O 0.0143 0.3349 0.0763 1
O15 O 0.7218 0.5848 0.1330 1
O16 O 0.6175 0.2410 0.6816 1
O17 O 0.2410 0.6175 0.1816 1
O18 O 0.9857 0.6651 0.9237 1
O19 O 0.4152 0.2782 0.3670 1
O20 O 0.3349 0.0143 0.5763 1
O21 O 0.7597 0.1098 0.9411 1
O22 O 0.1565 0.1932 0.8398 1
O23 O 0.6651 0.9857 0.4237 1
O24 O 0.9114 0.5563 0.3290 1
P1 P 0.3474 0.1381 0.3628 1
P2 P 0.2456 0.7544 0.2500 1
P3 P 0.8619 0.6526 0.1372 1
P4 P 0.1381 0.3474 0.8628 1
P5 P 0.7544 0.2456 0.7500 1
P6 P 0.6526 0.8619 0.6372 1
K1 K 0.9870 0.0130 0.2500 1
K2 K 0.0130 0.9870 0.7500 1
K3 K 0.7258 0.2742 0.2500 1
K4 K 0.5000 0.5000 0.0000 1
K5 K 0.2742 0.7258 0.7500 1
K6 K 0.5000 0.5000 0.5000 1
Bi1 Bi 0.0904 0.3860 0.3304 1
Bi2 Bi 0.3860 0.0904 0.8304 1
Bi3 Bi 0.6140 0.9096 0.1696 1
Bi4 Bi 0.9096 0.6140 0.6696 1
```